Record 1
{
  "formula": "Mg2TeWO6",
  "functional": "GGA+U",
  "state": "optimized geometry",
  "relative_energy_mev_per_atom": 14,
  "total_magnetization_mub_per_fu": 0.0,
  "crystal_system": "triclinic",
  "formation_energy_ev_per_atom": -2.14,
  "cell": [[5.6080, 0.0000, 0.0000], [1.6722, 5.4047, 0.0000], [0.0257, 2.4167, 5.4175]],
  "species": ["Mg", "Mg", "Te", "W", "O", "O", "O", "O", "O", "O"],
  "frac_coords": [[0.0000, 0.0000, 0.0000], [0.4519, 0.3598, 0.0944], [0.6859, 0.6535, 0.5416], [0.9909, 0.2864, 0.3374], [0.1070, 0.5909, 0.1512], [0.1207, 0.0733, 0.6589], [0.2314, 0.1200, 0.1676], [0.6313, 0.5430, 0.2664], [0.6535, 0.3376, 0.8166], [0.7978, 0.0787, 0.2794]]
}


Record 2
{
  "formula": "MgTe3WO12",
  "functional": "GGA+U",
  "state": "optimized geometry",
  "relative_energy_mev_per_atom": 27,
  "total_magnetization_mub_per_fu": 0.0,
  "crystal_system": "monoclinic",
  "formation_energy_ev_per_atom": -1.72,
  "cell": [[4.9230, 0.0000, 0.0000], [0.0000, 8.9143, 0.0000], [-0.2173, 0.0000, 5.3141]],
  "species": ["Mg", "Te", "Te", "Te", "W", "O", "O", "O", "O", "O", "O", "O", "O", "O", "O", "O", "O"],
  "frac_coords": [[0.0000, 0.0000, 0.0000], [0.0000, 0.3904, 0.0000], [0.5000, 0.6955, 0.0000], [0.5000, 0.8844, 0.5000], [0.0000, 0.2066, 0.5000], [0.1904, 0.1746, 0.8136], [0.2190, 0.3493, 0.3516], [0.2421, 0.0232, 0.3534], [0.2515, 0.5485, 0.8663], [0.2819, 0.8596, 0.8161], [0.2962, 0.7238, 0.3076], [0.7038, 0.7238, 0.6924], [0.7181, 0.8596, 0.1839], [0.7485, 0.5485, 0.1337], [0.7579, 0.0232, 0.6466], [0.7810, 0.3493, 0.6484], [0.8096, 0.1746, 0.1864]]
}


| no. | corrected total energy (MP2020 scheme) (eV per atom) |
| --- | --- |
| 1 | -7.04 |
| 2 | -6.63 |